w.
Entry from the Materials Project: a relaxed structure of Be3Fe4Si3SO12 (PBE with a Hubbard U).

a b c (Å): 8.277 8.277 8.277
angles (deg): 90.00 90.00 90.00
Fractional positions:
O1 0.912 0.640 0.640
O2 0.140 0.412 0.140
O3 0.640 0.912 0.640
O4 0.860 0.140 0.588
O5 0.140 0.140 0.412
O6 0.640 0.640 0.912
O7 0.412 0.860 0.860
O8 0.360 0.912 0.360
O9 0.860 0.588 0.140
O10 0.912 0.360 0.360
O11 0.088 0.640 0.360
O12 0.860 0.412 0.860
O13 0.140 0.860 0.588
O14 0.640 0.088 0.360
O15 0.588 0.140 0.860
O16 0.140 0.588 0.860
O17 0.360 0.640 0.088
O18 0.640 0.360 0.088
O19 0.360 0.360 0.912
O20 0.360 0.088 0.640
O21 0.412 0.140 0.140
O22 0.860 0.860 0.412
O23 0.588 0.860 0.140
O24 0.088 0.360 0.640
Fe1 0.833 0.167 0.833
Fe2 0.333 0.333 0.667
Fe3 0.167 0.833 0.833
Fe4 0.667 0.333 0.333
Fe5 0.167 0.167 0.167
Fe6 0.667 0.667 0.667
Fe7 0.333 0.667 0.333
Fe8 0.833 0.833 0.167
Si1 0.000 0.500 0.250
Si2 0.750 0.000 0.500
Si3 0.250 0.000 0.500
Si4 0.500 0.250 0.000
Si5 0.000 0.500 0.750
Si6 0.500 0.750 0.000
Be1 0.500 0.000 0.750
Be2 0.000 0.750 0.500
Be3 0.250 0.500 0.000
Be4 0.000 0.250 0.500
Be5 0.500 0.000 0.250
Be6 0.750 0.500 0.000
S1 0.500 0.500 0.500
S2 0.000 0.000 0.000

## Properties
symmetry	No. 218
spin magnetization	16.0	μB/f.u.
theoretical density	3.27	g/cm³

x.
Entry from the Materials Project: a relaxed structure of Be3Fe4Si3SO12 (PBE with a Hubbard U).

a b c (Å): 8.306 8.306 8.306
angles (deg): 89.56 89.56 89.56
Fractional positions:
Be1 0.751 0.500 0.002
Be2 0.500 0.002 0.751
Be3 0.002 0.751 0.500
Be4 0.502 0.000 0.251
Be5 0.000 0.251 0.502
Be6 0.251 0.502 0.000
O1 0.415 0.862 0.145
O2 0.588 0.141 0.140
O3 0.365 0.364 0.089
O4 0.416 0.147 0.856
O5 0.865 0.589 0.864
O6 0.140 0.588 0.141
O7 0.356 0.647 0.916
O8 0.362 0.915 0.645
O9 0.647 0.916 0.356
O10 0.364 0.089 0.365
O11 0.141 0.140 0.588
O12 0.640 0.641 0.088
O13 0.089 0.365 0.364
O14 0.916 0.356 0.647
O15 0.864 0.865 0.589
O16 0.862 0.145 0.415
O17 0.145 0.415 0.862
O18 0.915 0.645 0.362
O19 0.856 0.416 0.147
O20 0.147 0.856 0.416
O21 0.641 0.088 0.640
O22 0.645 0.362 0.915
O23 0.088 0.640 0.641
O24 0.589 0.864 0.865
Fe1 0.831 0.831 0.831
Fe2 0.667 0.330 0.670
Fe3 0.167 0.170 0.830
Fe4 0.830 0.167 0.170
Fe5 0.670 0.667 0.330
Fe6 0.330 0.670 0.667
Fe7 0.170 0.830 0.167
Fe8 0.331 0.331 0.331
Si1 0.253 0.997 0.503
Si2 0.503 0.253 0.997
Si3 0.003 0.497 0.753
Si4 0.497 0.753 0.003
Si5 0.753 0.003 0.497
Si6 0.997 0.503 0.253
S1 0.500 0.500 0.500
S2 0.000 0.000 0.000

## Properties
symmetry	No. 161
spin magnetization	16.0	μB/f.u.
theoretical density	3.24	g/cm³

Which of them is least stable? Easy: w.

w.
Entry from the Materials Project: a relaxed structure of CaCoBiO5 (PBE with a Hubbard U).

a b c (Å): 10.706 5.875 8.424
angles (deg): 72.54 90.00 90.00
Fractional positions:
O1 0.286 0.852 0.162
O2 0.718 0.707 0.483
O3 0.957 0.224 0.009
O4 0.971 0.744 0.317
O5 0.529 0.744 0.817
O6 0.566 0.823 0.162
O7 0.543 0.224 0.509
O8 0.214 0.852 0.662
O9 0.714 0.148 0.838
O10 0.786 0.148 0.338
O11 0.457 0.776 0.491
O12 0.029 0.256 0.683
O13 0.282 0.293 0.517
O14 0.043 0.776 0.991
O15 0.434 0.177 0.838
O16 0.934 0.823 0.662
O17 0.218 0.293 0.017
O18 0.066 0.177 0.338
O19 0.471 0.256 0.183
O20 0.782 0.707 0.983
Ca1 0.406 0.539 0.310
Ca2 0.594 0.461 0.690
Ca3 0.094 0.539 0.810
Ca4 0.906 0.461 0.190
Co1 0.628 0.862 0.953
Co2 0.872 0.862 0.453
Co3 0.372 0.138 0.047
Co4 0.128 0.138 0.547
Bi1 0.899 0.008 0.846
Bi2 0.101 0.992 0.154
Bi3 0.601 0.008 0.346
Bi4 0.399 0.992 0.654

## Properties
symmetry	No. 14
spin magnetization	4.0	μB/f.u.
theoretical density	5.10	g/cm³

x.
Entry from the Materials Project: a relaxed structure of CaCoBiO5 (PBE with a Hubbard U).

a b c (Å): 5.569 11.348 15.516
angles (deg): 90.00 90.00 90.00
Fractional positions:
O1 0.674 0.474 0.869
O2 0.928 0.325 0.698
O3 0.376 0.320 0.023
O4 0.072 0.675 0.302
O5 0.239 0.771 0.152
O6 0.261 0.771 0.652
O7 0.739 0.729 0.152
O8 0.674 0.974 0.631
O9 0.572 0.825 0.302
O10 0.193 0.048 0.571
O11 0.239 0.271 0.348
O12 0.428 0.175 0.698
O13 0.624 0.680 0.977
O14 0.807 0.952 0.429
O15 0.693 0.452 0.571
O16 0.826 0.474 0.369
O17 0.307 0.048 0.071
O18 0.124 0.820 0.977
O19 0.761 0.229 0.848
O20 0.693 0.952 0.929
O21 0.624 0.180 0.523
O22 0.072 0.175 0.198
O23 0.928 0.825 0.802
O24 0.761 0.729 0.652
O25 0.174 0.526 0.631
O26 0.326 0.526 0.131
O27 0.826 0.974 0.131
O28 0.174 0.026 0.869
O29 0.376 0.820 0.477
O30 0.261 0.271 0.848
O31 0.124 0.320 0.523
O32 0.739 0.229 0.348
O33 0.307 0.548 0.429
O34 0.807 0.452 0.071
O35 0.428 0.675 0.802
O36 0.572 0.325 0.198
O37 0.876 0.680 0.477
O38 0.193 0.548 0.929
O39 0.876 0.180 0.023
O40 0.326 0.026 0.369
Co1 0.482 0.594 0.901
Co2 0.518 0.406 0.099
Co3 0.482 0.094 0.599
Co4 0.982 0.406 0.599
Co5 0.982 0.906 0.901
Co6 0.018 0.094 0.099
Co7 0.518 0.906 0.401
Co8 0.018 0.594 0.401
Bi1 0.055 0.156 0.767
Bi2 0.555 0.844 0.733
Bi3 0.945 0.344 0.267
Bi4 0.055 0.656 0.733
Bi5 0.945 0.844 0.233
Bi6 0.445 0.656 0.233
Bi7 0.555 0.344 0.767
Bi8 0.445 0.156 0.267
Ca1 0.997 0.359 0.949
Ca2 0.503 0.359 0.449
Ca3 0.503 0.859 0.051
Ca4 0.497 0.641 0.551
Ca5 0.003 0.641 0.051
Ca6 0.003 0.141 0.449
Ca7 0.497 0.141 0.949
Ca8 0.997 0.859 0.551

## Properties
symmetry	No. 61
spin magnetization	4.0	μB/f.u.
theoretical density	5.26	g/cm³

Which of them is least stable? Easy: x.

w.
Entry from the Materials Project: a relaxed structure of LiBi3PbWClO8 (PBE with a Hubbard U).

a b c (Å): 4.127 4.084 14.989
angles (deg): 90.00 90.00 90.00
Fractional positions:
Pb1 0.500 0.500 0.831
O1 0.000 0.500 0.028
O2 0.000 0.500 0.734
O3 0.000 0.500 0.246
O4 0.500 0.000 0.732
O5 0.000 0.000 0.144
O6 0.500 0.000 0.251
O7 0.500 0.000 0.029
O8 0.000 0.000 0.888
Cl1 0.500 0.500 0.504
W1 0.000 0.000 0.012
Bi1 0.000 0.000 0.297
Bi2 0.500 0.500 0.145
Bi3 0.000 0.000 0.673
Li1 0.500 0.000 0.443

## Properties
symmetry	No. 25
spin magnetization	0.0	μB/f.u.
theoretical density	7.81	g/cm³

x.
Entry from the Materials Project: a relaxed structure of LiBi3PbWClO8 (PBE with a Hubbard U).

a b c (Å): 3.982 3.982 14.993
angles (deg): 90.00 90.00 90.00
Fractional positions:
Li1 0.500 0.500 0.325
W1 0.000 0.000 0.005
O1 0.500 0.000 0.297
O2 0.500 0.000 0.030
O3 0.000 0.500 0.030
O4 0.000 0.000 0.883
O5 0.000 0.500 0.705
O6 0.000 0.500 0.297
O7 0.000 0.000 0.143
O8 0.500 0.000 0.705
Bi1 0.000 0.000 0.634
Bi2 0.000 0.000 0.364
Bi3 0.500 0.500 0.142
Pb1 0.500 0.500 0.800
Cl1 0.500 0.500 0.495

## Properties
symmetry	No. 99
spin magnetization	1.0	μB/f.u.
theoretical density	8.30	g/cm³

Which of them is least stable? Easy: w.

w.
Entry from the Materials Project: a relaxed structure of LiBi3PbWClO8 (PBE with a Hubbard U).

a b c (Å): 3.932 3.932 15.373
angles (deg): 90.00 90.00 90.00
Fractional positions:
Pb1 0.500 0.500 0.810
Bi1 0.500 0.500 0.199
Bi2 0.000 0.000 0.399
Bi3 0.000 0.000 0.643
O1 0.500 0.000 0.709
O2 0.000 0.000 0.128
O3 0.500 0.000 0.003
O4 0.000 0.500 0.003
O5 0.000 0.500 0.284
O6 0.000 0.000 0.876
O7 0.500 0.000 0.284
O8 0.000 0.500 0.709
Cl1 0.500 0.500 0.478
Li1 0.000 0.000 0.239
W1 0.000 0.000 0.997

## Properties
symmetry	No. 99
spin magnetization	0.2	μB/f.u.
theoretical density	8.30	g/cm³

x.
Entry from the Materials Project: a relaxed structure of LiBi3PbWClO8 (PBE with a Hubbard U).

a b c (Å): 3.987 3.987 14.926
angles (deg): 90.00 90.00 90.00
Fractional positions:
O1 0.000 0.500 0.699
O2 0.500 0.000 0.699
O3 0.000 0.000 0.144
O4 0.000 0.500 0.287
O5 0.000 0.500 0.015
O6 0.000 0.000 0.882
O7 0.500 0.000 0.287
O8 0.500 0.000 0.015
Pb1 0.500 0.500 0.795
W1 0.000 0.000 0.008
Bi1 0.500 0.500 0.198
Bi2 0.000 0.000 0.362
Bi3 0.000 0.000 0.629
Li1 0.500 0.500 0.990
Cl1 0.500 0.500 0.480

## Properties
symmetry	No. 99
spin magnetization	0.9	μB/f.u.
theoretical density	8.32	g/cm³

Which of them is least stable? Easy: w.

w.
Entry from the Materials Project: a relaxed structure of Bi3PbWClO8 (PBE with a Hubbard U).

a b c (Å): 3.884 3.884 14.968
angles (deg): 90.00 90.00 90.00
Fractional positions:
Cl1 0.500 0.500 0.472
O1 0.500 0.000 0.008
O2 0.000 0.000 0.137
O3 0.000 0.500 0.285
O4 0.000 0.500 0.008
O5 0.000 0.000 0.879
O6 0.500 0.000 0.285
O7 0.000 0.500 0.717
O8 0.500 0.000 0.717
W1 0.000 0.000 0.004
Bi1 0.500 0.500 0.798
Bi2 0.500 0.500 0.195
Bi3 0.000 0.000 0.365
Pb1 0.000 0.000 0.629

## Properties
symmetry	No. 99
spin magnetization	0.0	μB/f.u.
theoretical density	8.69	g/cm³

x.
Entry from the Materials Project: a relaxed structure of Bi3PbWClO8 (PBE with a Hubbard U).

a b c (Å): 3.894 3.894 14.914
angles (deg): 90.00 90.00 90.00
Fractional positions:
W1 0.000 0.000 0.006
Pb1 0.500 0.500 0.807
Bi1 0.500 0.500 0.191
Bi2 0.000 0.000 0.362
Bi3 0.000 0.000 0.635
Cl1 0.500 0.500 0.486
O1 0.000 0.000 0.141
O2 0.500 0.000 0.285
O3 0.500 0.000 0.013
O4 0.000 0.000 0.881
O5 0.500 0.000 0.707
O6 0.000 0.500 0.707
O7 0.000 0.500 0.285
O8 0.000 0.500 0.013

## Properties
symmetry	No. 99
spin magnetization	0.0	μB/f.u.
theoretical density	8.67	g/cm³

Which of them is least stable? Easy: x.

w.
Entry from the Materials Project: a relaxed structure of MgCo2Bi4O12 (PBE with a Hubbard U).

a b c (Å): 5.561 5.561 9.640
angles (deg): 88.83 91.17 105.01
Fractional positions:
O1 0.854 0.146 0.839
O2 0.298 0.283 0.994
O3 0.685 0.684 0.654
O4 0.156 0.844 0.195
O5 0.842 0.158 0.138
O6 0.316 0.315 0.654
O7 0.297 0.337 0.345
O8 0.162 0.838 0.841
O9 0.807 0.193 0.495
O10 0.663 0.703 0.345
O11 0.144 0.856 0.494
O12 0.717 0.702 0.994
Bi1 0.994 0.006 0.668
Bi2 0.592 0.408 0.154
Bi3 0.413 0.587 0.831
Bi4 0.970 0.030 0.327
Co1 0.002 0.998 0.990
Co2 0.582 0.418 0.518
Mg1 0.305 0.695 0.355

## Properties
symmetry	No. 8
spin magnetization	0.0	μB/f.u.
theoretical density	6.75	g/cm³

x.
Entry from the Materials Project: a relaxed structure of MgCo2Bi4O12 (PBE with a Hubbard U).

a b c (Å): 5.103 5.103 10.366
angles (deg): 90.00 90.00 84.06
Fractional positions:
Mg1 0.267 0.267 0.500
Bi1 0.475 0.475 0.159
Bi2 0.976 0.976 0.690
Bi3 0.976 0.976 0.310
Bi4 0.475 0.475 0.841
O1 0.284 0.284 0.311
O2 0.657 0.657 0.000
O3 0.790 0.166 0.855
O4 0.672 0.672 0.322
O5 0.790 0.166 0.145
O6 0.829 0.300 0.500
O7 0.166 0.790 0.145
O8 0.284 0.284 0.689
O9 0.166 0.790 0.855
O10 0.300 0.829 0.500
O11 0.283 0.283 0.000
O12 0.672 0.672 0.678
Co1 0.024 0.024 0.000
Co2 0.616 0.616 0.500

## Properties
symmetry	No. 38
spin magnetization	6.0	μB/f.u.
theoretical density	7.24	g/cm³

Which of them is least stable? Easy: x.